Entry 1:
Computed, not measured: an optimized crystal structure of VZnPbO5 at the GGA+U level of DFT.

Polymorph energy (0 for the lowest one) in meV per atom: 2
Symmetry: Pnma, No. 62
DFT formation energy in eV per atom: -1.823

Cell: 6.1035 7.7533 9.4049 Å, 90.00 90.00 90.00°
Last column: nearest neighbours and their distance in Å.
Fractional coordinates of all 32 atoms:
V  0.2500  0.6371  0.6873  4 O 1.69-1.79
V  0.2500  0.1371  0.8127  4 O 1.69-1.79
V  0.7500  0.3629  0.3127  4 O 1.69-1.79
V  0.7500  0.8629  0.1873  4 O 1.69-1.79
Zn  0.0000  0.0000  0.5000  4 O 1.96-2.20
Zn  0.5000  0.5000  0.0000  4 O 1.96-2.20
Zn  0.5000  0.0000  0.5000  4 O 1.96-2.20
Zn  0.0000  0.5000  0.0000  4 O 1.96-2.20
Pb  0.7500  0.3716  0.6807  3 O 2.32-2.46
Pb  0.7500  0.8716  0.8193  3 O 2.32-2.46
Pb  0.2500  0.6284  0.3193  3 O 2.32-2.46
Pb  0.2500  0.1284  0.1807  3 O 2.32-2.46
O  0.4951  0.6278  0.7912  1 V 1.79
O  0.0049  0.1278  0.7088  1 V 1.79
O  0.9951  0.3722  0.2088  1 V 1.79
O  0.5049  0.8722  0.2912  1 V 1.79
O  0.5049  0.3722  0.2088  1 V 1.79
O  0.9951  0.8722  0.2912  1 V 1.79
O  0.0049  0.6278  0.7912  1 V 1.79
O  0.4951  0.1278  0.7088  1 V 1.79
O  0.2500  0.4583  0.5847  1 V 1.69
O  0.2500  0.9583  0.9153  1 V 1.69
O  0.7500  0.5417  0.4153  1 V 1.69
O  0.7500  0.0417  0.0847  1 V 1.69
O  0.2500  0.8142  0.5689  1 V 1.77
O  0.2500  0.3142  0.9311  1 V 1.77
O  0.7500  0.1858  0.4311  1 V 1.77
O  0.7500  0.6858  0.0689  1 V 1.77
O  0.7500  0.8671  0.5723  2 Zn 1.96
O  0.7500  0.3671  0.9277  2 Zn 1.96
O  0.2500  0.1329  0.4277  2 Zn 1.96
O  0.2500  0.6329  0.0723  2 Zn 1.96

Entry 2:
Computed, not measured: an optimized crystal structure of Ca17Ni19P24O96 at the GGA+U level of DFT.

Symmetry: P1, No. 1
DFT formation energy in eV per atom: -2.652

Cell: 10.0891 12.5243 17.1503 Å, 99.13 89.93 66.68°
Last column: nearest neighbours and their distance in Å.
Fractional coordinates of all 156 atoms:
Ca  0.1120  0.6794  0.0686  5 O 2.40-2.54
Ca  0.7917  0.3186  0.4330  5 O 2.38-2.51
Ca  0.8880  0.3215  0.9319  5 O 2.39-2.53
Ca  0.2064  0.6796  0.5641  5 O 2.36-2.53
Ca  0.5101  0.8230  0.8918  7 O 2.36-2.59
Ca  0.3333  0.1748  0.6077  7 O 2.36-2.59
Ca  0.4896  0.1765  0.1082  7 O 2.36-2.59
Ca  0.6651  0.8240  0.3919  7 O 2.35-2.57
Ca  0.1037  0.9990  0.2526  6 O 2.36-2.57
Ca  0.8963  0.9992  0.7489  6 O 2.34-2.58
Ca  0.5367  0.6245  0.0670  6 O 2.29-2.56
Ca  0.1620  0.3796  0.4342  5 O 2.28-2.50
Ca  0.4614  0.3766  0.9339  5 O 2.27-2.49
Ca  0.8386  0.6245  0.5651  5 O 2.26-2.49
Ca  0.0400  0.1288  0.0888  6 O 2.23-2.45
Ca  0.8296  0.1307  0.5895  5 O 2.19-2.41
Ca  0.9605  0.8707  0.9113  6 O 2.23-2.48
Ni  0.1453  0.4733  0.2263  5 O 2.03-2.13
Ni  0.6176  0.5268  0.2751  5 O 2.03-2.14
Ni  0.8545  0.5286  0.7748  5 O 2.02-2.13
Ni  0.3835  0.4731  0.7252  5 O 2.03-2.14
Ni  0.6740  0.8350  0.0488  6 O 2.05-2.20
Ni  0.5085  0.1630  0.4506  6 O 2.08-2.21
Ni  0.3259  0.1650  0.9512  6 O 2.05-2.20
Ni  0.4904  0.8334  0.5486  6 O 2.04-2.21
Ni  0.5770  0.0003  0.2517  4 O 2.00-2.03
Ni  0.4201  0.0003  0.7505  4 O 2.00-2.03
Ni  0.7339  0.2160  0.2370  5 O 1.98-2.12
Ni  0.9498  0.7846  0.2648  5 O 1.98-2.14
Ni  0.2661  0.7834  0.7599  5 O 2.04-2.11
Ni  0.0495  0.2158  0.7354  5 O 1.98-2.16
Ni  0.8942  0.4724  0.1316  6 O 2.04-2.22
Ni  0.3668  0.5298  0.3691  5 O 2.04-2.17
Ni  0.1062  0.5277  0.8686  6 O 2.04-2.21
Ni  0.6345  0.4719  0.6311  6 O 2.04-2.22
Ni  0.1733  0.8658  0.4059  5 O 2.09-2.32
P  0.6968  0.3663  0.1001  4 O 1.53-1.58
P  0.0638  0.6407  0.4001  4 O 1.53-1.59
P  0.3028  0.6343  0.9000  4 O 1.54-1.59
P  0.9367  0.3676  0.6001  4 O 1.53-1.58
P  0.3499  0.9944  0.4046  4 O 1.55-1.57
P  0.3538  0.9978  0.0979  4 O 1.54-1.58
P  0.6464  0.9984  0.5973  4 O 1.54-1.58
P  0.6461  0.0019  0.9025  4 O 1.54-1.58
P  0.8185  0.6115  0.9760  4 O 1.54-1.56
P  0.4294  0.3886  0.5236  4 O 1.54-1.56
P  0.1814  0.3886  0.0244  4 O 1.54-1.56
P  0.5717  0.6101  0.4762  4 O 1.54-1.56
P  0.2803  0.6795  0.2287  4 O 1.54-1.59
P  0.9586  0.3227  0.2753  4 O 1.53-1.59
P  0.7194  0.3229  0.7751  4 O 1.53-1.59
P  0.0423  0.6770  0.7249  4 O 1.53-1.59
P  0.7165  0.7208  0.2135  4 O 1.54-1.59
P  0.4366  0.2798  0.2869  4 O 1.54-1.59
P  0.2834  0.2793  0.7864  4 O 1.54-1.59
P  0.5633  0.7205  0.7134  4 O 1.54-1.59
P  0.8332  0.0523  0.3795  4 O 1.52-1.58
P  0.8840  0.9470  0.1231  4 O 1.53-1.57
P  0.1698  0.9455  0.6145  4 O 1.54-1.57
P  0.1163  0.0527  0.8765  4 O 1.53-1.57
O  0.8745  0.6351  0.1874  1 P 1.54
O  0.5080  0.3670  0.3130  1 P 1.54
O  0.1258  0.3656  0.8127  1 P 1.54
O  0.4918  0.6331  0.6877  1 P 1.54
O  0.8241  0.5124  0.0219  1 P 1.55
O  0.3359  0.4881  0.4781  1 P 1.56
O  0.1760  0.4876  0.9785  1 P 1.55
O  0.6658  0.5110  0.5215  1 P 1.56
O  0.6258  0.7509  0.1417  1 P 1.54
O  0.3758  0.2487  0.3585  1 P 1.54
O  0.3743  0.2487  0.8581  1 P 1.54
O  0.6246  0.7507  0.6417  1 P 1.54
O  0.6551  0.6868  0.9693  1 P 1.56
O  0.3414  0.3119  0.5298  1 P 1.56
O  0.3448  0.3131  0.0311  1 P 1.56
O  0.6599  0.6863  0.4691  1 P 1.56
O  0.9603  0.9321  0.3424  1 P 1.58
O  0.8884  0.0653  0.1660  1 P 1.56
O  0.0468  0.0623  0.6591  1 P 1.57
O  0.1122  0.9347  0.8323  1 P 1.57
O  0.8636  0.3117  0.0774  1 P 1.57
O  0.1727  0.7014  0.4204  1 P 1.58
O  0.1361  0.6883  0.9228  1 P 1.57
O  0.8238  0.3129  0.5777  1 P 1.57
O  0.6498  0.2826  0.1381  1 P 1.54
O  0.9303  0.7171  0.3616  1 P 1.53
O  0.3492  0.7179  0.8615  1 P 1.54
O  0.0665  0.2839  0.6377  1 P 1.54
O  0.8958  0.5510  0.8929  1 P 1.55
O  0.4471  0.4485  0.6068  1 P 1.55
O  0.1045  0.4494  0.1076  1 P 1.55
O  0.5541  0.5504  0.3929  1 P 1.55
O  0.7283  0.8376  0.2584  1 P 1.59
O  0.5648  0.1638  0.2424  1 P 1.59
O  0.2700  0.1630  0.7415  1 P 1.59
O  0.4339  0.8365  0.7573  1 P 1.59
O  0.6721  0.4864  0.1568  1 P 1.58
O  0.1607  0.5194  0.3448  1 P 1.59
O  0.3282  0.5138  0.8435  1 P 1.59
O  0.8420  0.4875  0.6567  1 P 1.58
O  0.4017  0.8786  0.4412  1 P 1.57
O  0.2856  0.1121  0.0591  1 P 1.58
O  0.6004  0.1129  0.5586  1 P 1.58
O  0.7143  0.8876  0.9412  1 P 1.58
O  0.8271  0.1485  0.3299  1 P 1.56
O  0.9757  0.8472  0.1695  1 P 1.57
O  0.1778  0.8449  0.6608  1 P 1.57
O  0.0249  0.1538  0.8313  1 P 1.56
O  0.4610  0.9694  0.3348  1 P 1.55
O  0.4409  0.0291  0.1649  1 P 1.54
O  0.5296  0.0291  0.6649  1 P 1.54
O  0.5594  0.9706  0.8354  1 P 1.54
O  0.8693  0.0985  0.4606  1 P 1.52
O  0.9670  0.9118  0.0420  1 P 1.53
O  0.1283  0.9106  0.5307  1 P 1.54
O  0.0342  0.0862  0.9578  1 P 1.53
O  0.3259  0.6803  0.1431  1 P 1.54
O  0.0005  0.3289  0.3618  1 P 1.54
O  0.6716  0.3287  0.8615  1 P 1.54
O  0.0005  0.6707  0.6386  1 P 1.54
O  0.6144  0.4013  0.0268  1 P 1.53
O  0.0215  0.6060  0.4752  1 P 1.53
O  0.3840  0.6002  0.9739  1 P 1.54
O  0.9845  0.4025  0.5266  1 P 1.53
O  0.8834  0.6948  0.0205  1 P 1.54
O  0.5758  0.3062  0.4786  1 P 1.54
O  0.1167  0.3053  0.9799  1 P 1.54
O  0.4255  0.6908  0.5217  1 P 1.54
O  0.2309  0.8022  0.2817  1 P 1.54
O  0.0332  0.1983  0.2268  1 P 1.53
O  0.7701  0.1983  0.7266  1 P 1.53
O  0.9680  0.8013  0.7735  1 P 1.53
O  0.6487  0.6786  0.2770  1 P 1.55
O  0.3266  0.3216  0.2236  1 P 1.55
O  0.3519  0.3210  0.7228  1 P 1.55
O  0.6721  0.6799  0.7775  1 P 1.55
O  0.1957  0.0145  0.3781  1 P 1.55
O  0.2290  0.9713  0.1294  1 P 1.54
O  0.7976  0.9717  0.6281  1 P 1.54
O  0.7710  0.0287  0.8715  1 P 1.54
O  0.6878  0.0351  0.3794  1 P 1.56
O  0.7242  0.9609  0.1204  1 P 1.55
O  0.3148  0.9622  0.6168  1 P 1.56
O  0.2765  0.0387  0.8794  1 P 1.56
O  0.4000  0.5852  0.2671  1 P 1.55
O  0.9859  0.4147  0.2337  1 P 1.56
O  0.6011  0.4136  0.7331  1 P 1.56
O  0.0153  0.5854  0.7669  1 P 1.56
O  0.3506  0.0993  0.4664  1 P 1.55
O  0.4565  0.8959  0.0339  1 P 1.55
O  0.6452  0.8965  0.5331  1 P 1.55
O  0.5432  0.1040  0.9664  1 P 1.55
O  0.1482  0.6411  0.2206  1 P 1.59
O  0.7887  0.3600  0.2810  1 P 1.59
O  0.8518  0.3612  0.7811  1 P 1.59
O  0.2122  0.6399  0.7191  1 P 1.59

Entry 3:
Computed, not measured: an optimized crystal structure of EuMoClO4 at the GGA+U level of DFT.

Symmetry: C2/m, No. 12
DFT formation energy in eV per atom: -1.739

Cell: 6.5013 6.5013 6.9822 Å, 76.43 76.43 70.55°
Last column: nearest neighbours and their distance in Å.
Fractional coordinates of all 14 atoms:
Eu  0.2255  0.2255  0.8838  4 O 2.36-2.40
Eu  0.7745  0.7745  0.1162  4 O 2.36-2.40
Mo  0.3637  0.3637  0.2669  4 O 1.77-1.81
Mo  0.6363  0.6363  0.7331  4 O 1.77-1.81
Cl  0.9893  0.9893  0.7617  2 Eu 2.84-2.87, 1 O 3.17
Cl  0.0107  0.0107  0.2383  2 Eu 2.84-2.87, 1 O 3.17
O  0.4911  0.1169  0.1534  1 Mo 1.81
O  0.4614  0.4614  0.7939  1 Mo 1.78
O  0.1169  0.4911  0.1534  1 Mo 1.81
O  0.2941  0.2941  0.5302  1 Mo 1.77
O  0.5089  0.8831  0.8466  1 Mo 1.81
O  0.8831  0.5089  0.8466  1 Mo 1.81
O  0.7059  0.7059  0.4698  1 Mo 1.77
O  0.5386  0.5386  0.2061  1 Mo 1.78